# Ca2ReN3 | Materials Project | PBE-GGA | relaxed
data_Ca2ReN3
_symmetry_space_group_name_H-M 'P 1'
_symmetry_Int_Tables_number 1
_cell_length_a 6.065
_cell_length_b 6.065
_cell_length_c 12.348
_cell_angle_alpha 90.00
_cell_angle_beta 90.00
_cell_angle_gamma 124.95
loop_
_symmetry_equiv_pos_as_xyz
'x,y,z'
loop_
_atom_site_label
_atom_site_type_symbol
_atom_site_fract_x
_atom_site_fract_y
_atom_site_fract_z
Ca1 Ca 0.051 0.949 0.868
Ca2 Ca 0.141 0.859 0.419
Ca3 Ca 0.359 0.641 0.919
Ca4 Ca 0.449 0.551 0.368
Ca5 Ca 0.551 0.449 0.632
Ca6 Ca 0.641 0.359 0.081
Ca7 Ca 0.859 0.141 0.581
Ca8 Ca 0.949 0.051 0.132
Re1 Re 0.240 0.760 0.654
Re2 Re 0.260 0.740 0.154
Re3 Re 0.740 0.260 0.846
Re4 Re 0.760 0.240 0.346
N1 N 0.036 0.464 0.750
N2 N 0.072 0.928 0.624
N3 N 0.154 0.846 0.032
N4 N 0.346 0.654 0.532
N5 N 0.428 0.572 0.124
N6 N 0.464 0.036 0.250
N7 N 0.536 0.964 0.750
N8 N 0.572 0.428 0.876
N9 N 0.654 0.346 0.468
N10 N 0.846 0.154 0.968
N11 N 0.928 0.072 0.376
N12 N 0.964 0.536 0.250
# - Raw total energy: -7.564 eV/atom
# - Formation energy: -834 meV/atom
# - Spin magnetization: 0.000 μB/f.u.